VASP calculation (PBE-GGA) on a relaxed structure of Th2Se3.

Computed properties:
Its symmetry is Pnma.

a b c (Å): 11.406 4.076 11.357
angles (deg): 90.00 90.00 90.00
Atoms (fractional coordinates):
Se  0.720  0.250  0.293
Se  0.623  0.750  0.057
Se  0.780  0.750  0.793
Se  0.220  0.250  0.207
Se  0.949  0.750  0.121
Se  0.449  0.750  0.379
Se  0.377  0.250  0.943
Se  0.877  0.250  0.557
Se  0.123  0.750  0.443
Se  0.051  0.250  0.879
Se  0.551  0.250  0.621
Se  0.280  0.750  0.707
Th  0.980  0.250  0.315
Th  0.801  0.250  0.986
Th  0.520  0.750  0.815
Th  0.301  0.250  0.514
Th  0.699  0.750  0.486
Th  0.480  0.250  0.185
Th  0.199  0.750  0.014
Th  0.020  0.750  0.685

VASP calculation (PBE-GGA) on a relaxed structure of ThUSe2.

Computed properties:
Its symmetry is P4/mmm.

a b c (Å): 4.142 4.142 5.866
angles (deg): 90.00 90.00 90.00
Atoms (fractional coordinates):
Se  0.000  0.000  0.000
Se  0.500  0.500  0.500
Th  0.500  0.500  0.000
U  0.000  0.000  0.500

VASP calculation (PBE-GGA) on a relaxed structure of Ti3Se4.

Computed properties:
Its symmetry is C2/m. The energy above the lowest structure with this stoichiometry comes out at 0.050 eV/atom.

a b c (Å): 3.535 6.516 7.039
angles (deg): 117.06 104.54 90.00
Atoms (fractional coordinates):
Ti  0.000  0.000  0.000
Ti  0.749  0.703  0.497
Ti  0.251  0.297  0.503
Se  0.366  0.034  0.732
Se  0.110  0.446  0.220
Se  0.634  0.966  0.268
Se  0.890  0.554  0.780

Formation enthalpy at 0 K (eV/f.u.)
-9.93 -5.94 -10.03